Entry 1:
First-principles (r²SCAN) data for a relaxed Na2UF6 crystal, as listed in Materials Project.

extended XYZ file:
```
9
Lattice="5.896 0.000 0.000 -2.948 5.106 0.000 0.000 0.000 3.730" Properties=species:S:1:pos:R:3 pbc="T T T"
Na 0.000 3.404 1.588
Na 2.948 1.702 2.142
U 0.000 0.000 0.000
F -0.738 1.279 1.865
F -1.830 3.169 0.000
F 1.477 0.000 1.865
F 1.118 1.937 0.000
F 3.660 0.000 0.000
F 2.210 3.827 1.865
```

Output
E_tot: -137.78 eV per formula unit



Entry 2:
First-principles (r²SCAN) data for a relaxed NaVF4 crystal, as listed in Materials Project.

extended XYZ file:
```
24
Lattice="7.795 0.000 0.000 0.000 5.275 0.000 -1.408 0.000 7.379" Properties=species:S:1:pos:R:3 pbc="T T T"
Na 0.572 1.139 2.821
Na -0.132 1.499 6.510
Na 6.519 3.776 0.869
Na 5.815 4.136 4.558
V 2.282 3.907 1.449
V 1.579 4.005 5.138
V 4.809 1.270 2.241
V 4.105 1.368 5.930
F 0.697 2.874 1.385
F -0.007 5.038 5.074
F 1.345 0.133 0.850
F 0.641 2.504 4.539
F 1.226 3.295 6.972
F 1.930 4.617 3.283
F 2.420 0.375 5.879
F 3.124 2.262 2.190
F 3.263 3.012 5.189
F 3.967 4.900 1.499
F 4.458 0.658 4.096
F 5.162 1.980 0.406
F 5.746 2.771 2.840
F 5.042 5.142 6.529
F 6.395 0.236 2.305
F 5.691 2.401 5.994
```

Output
E_tot: -49.34 eV per formula unit



Entry 3:
First-principles (r²SCAN) data for a relaxed NaVF3 crystal, as listed in Materials Project.

extended XYZ file:
```
20
Lattice="5.677 0.000 0.000 0.000 7.800 0.000 0.000 0.000 5.421" Properties=species:S:1:pos:R:3 pbc="T T T"
Na 0.354 1.950 0.102
Na 2.484 5.850 2.812
Na 3.192 1.950 2.609
Na 5.323 5.850 5.319
V 0.000 0.000 2.710
V 0.000 3.900 2.710
V 2.838 0.000 0.000
V 2.838 3.900 0.000
F 0.306 5.850 2.053
F 1.107 4.394 4.390
F 1.107 7.305 4.390
F 1.731 0.495 1.680
F 1.731 3.405 1.680
F 2.533 1.950 4.764
F 3.144 5.850 0.657
F 3.946 4.394 3.741
F 3.946 7.305 3.741
F 4.570 0.495 1.031
F 4.570 3.405 1.031
F 5.371 1.950 3.368
```

Output
E_tot: -42.12 eV per formula unit



Entry 4:
First-principles (r²SCAN) data for a relaxed NaV3F10 crystal, as listed in Materials Project.

extended XYZ file:
```
28
Lattice="7.453 0.000 0.000 3.726 6.457 0.000 1.865 3.227 7.822" Properties=species:S:1:pos:R:3 pbc="T T T"
Na 0.000 0.000 0.000
Na 5.586 3.220 3.945
V 9.277 3.165 3.892
V 11.140 6.394 3.924
V 5.550 3.168 0.020
V 7.419 6.404 3.950
V 7.414 6.395 0.053
V 11.147 6.405 7.816
F 1.835 3.178 1.930
F 3.680 6.361 2.105
F 3.261 4.449 3.916
F 2.232 1.295 0.053
F 5.587 6.993 7.767
F 5.525 5.802 3.996
F 3.281 1.820 3.887
F 5.976 5.112 0.093
F 5.523 3.137 6.051
F 7.422 6.409 5.873
F 7.424 6.407 2.014
F 5.541 3.135 1.840
F 5.124 1.223 0.029
F 7.821 4.522 3.890
F 9.312 6.991 3.996
F 9.252 5.802 7.770
F 8.871 5.050 0.058
F 7.840 1.881 3.852
F 9.246 3.136 5.716
F 11.147 6.409 5.892
```

Output
E_tot: -122.08 eV per formula unit



Entry 5:
First-principles (r²SCAN) data for a relaxed Na2VF5 crystal, as listed in Materials Project.

extended XYZ file:
```
32
Lattice="7.402 0.000 0.000 0.000 5.259 0.000 -3.344 0.000 10.325" Properties=species:S:1:pos:R:3 pbc="T T T"
Na -0.107 0.031 3.804
Na -1.779 2.599 8.966
Na 1.954 2.979 1.896
Na 0.282 4.909 7.059
Na 3.776 0.350 3.266
Na 2.104 2.280 8.429
Na 5.837 2.660 1.359
Na 4.165 5.228 6.521
V 0.000 0.000 0.000
V -1.672 2.629 5.163
V 3.701 0.000 0.000
V 2.029 2.629 5.163
F -1.854 3.442 6.905
F -0.182 4.446 1.742
F -1.107 0.982 5.928
F 0.565 1.648 0.766
F 0.173 3.422 5.200
F 1.845 4.466 0.038
F -0.051 1.153 8.858
F 1.621 1.477 3.695
F 0.659 3.881 9.035
F 2.331 4.008 3.872
F 1.727 1.251 6.453
F 3.399 1.378 1.290
F 2.437 3.782 6.630
F 4.109 4.106 1.467
F 2.213 0.793 10.288
F 3.885 1.837 5.125
F 3.493 3.611 9.559
F 5.165 4.277 4.397
F 4.240 0.813 8.583
F 5.912 1.816 3.420
```

Output
E_tot: -62.15 eV per formula unit



Entry 6:
First-principles (r²SCAN) data for a relaxed Na3ZrF7 crystal, as listed in Materials Project.

extended XYZ file:
```
11
Lattice="3.809 -3.781 0.000 3.809 3.781 0.000 -3.549 0.000 5.154" Properties=species:S:1:pos:R:3 pbc="T T T"
Na 0.000 0.000 0.000
Na 1.990 1.742 2.826
Na 1.990 -1.742 2.826
Zr 3.484 0.000 0.046
F -1.680 0.000 3.881
F 0.073 1.757 4.117
F 1.829 0.000 1.318
F 4.031 1.390 1.462
F 0.073 -1.757 4.117
F 1.909 0.000 4.572
F 4.031 -1.390 1.462
```

Output
E_tot: -93.91 eV per formula unit



Question: E_tot of number 3 (NaVF3)?
Answer: -42.12 eV per formula unit